1.
First-principles (PBE-GGA) data for a geometry-optimized FeGe structure, as listed in Materials Project.

The space group is P6/mmm (No. 191) and the conventional cell measures 4.9723, 4.9723 and 4.0413 Å, with angles of 90.00, 90.00 and 120.00 degrees. The inequivalent atoms are Fe at (0.0000, 0.5000, 0.0000), Ge at (0.0000, 0.0000, 0.0000) and Ge at (0.3333, 0.6667, 0.5000).

For the uncorrected energy, the calculation gives -40.01 eV for the cell shown. The calculation puts the volume at 14.42 A^3/atom. Its formation energy is -0.122 eV/atom.


2.
First-principles (PBE-GGA) data for a geometry-optimized Fe2Ge structure, as listed in Materials Project.

The space group is P6/mmm (No. 191) and the conventional cell measures 4.1636, 4.1636 and 2.6265 Å, with angles of 90.00, 90.00 and 120.00 degrees. The inequivalent atoms are Fe at (0.3333, 0.6667, 0.0000) and Ge at (0.0000, 0.0000, 0.5000).

For the uncorrected energy, the calculation gives -20.89 eV for the cell shown. The calculation puts the volume at 13.14 A^3/atom. Its formation energy is 0.223 eV/atom.


3.
First-principles (PBE-GGA) data for a geometry-optimized Fe3Ge2 structure, as listed in Materials Project.

The space group is P-6m2 (No. 187) and the conventional cell measures 4.0053, 4.0053 and 4.9183 Å, with angles of 90.00, 90.00 and 120.00 degrees. The inequivalent atoms are Fe at (0.0000, 0.0000, 0.0000), Fe at (0.3333, 0.6667, 0.2546), Ge at (0.0000, 0.0000, 0.5000) and Ge at (0.6667, 0.3333, 0.0000).

For the uncorrected energy, the calculation gives -35.02 eV for the cell shown. The calculation puts the volume at 13.67 A^3/atom. Its formation energy is -0.073 eV/atom.


> Look up the volume of the first one.

14.42 A^3/atom